Computed, not measured: a geometry-optimized LuCuB5O10 structure at the PBE level of DFT.

calculated density	4.43	g/cm³
DFT formation energy	-2.8145	eV/atom
energy with MP2020 corrections	-8.20	eV/atom
electronic total energy	-7.79	eV/atom

Lattice parameters (Å, degrees): 6.279 8.552 12.639 90.00 90.00 90.00
Space group Ibam (No. 72)
Unique sites:
Lu: 0.000 0.000 0.250 [4 per cell]
Cu: 0.000 0.000 0.000 [4 per cell]
B: 0.000 0.500 0.250 [4 per cell]
B: 0.116 0.307 0.100 [16 per cell]
O: 0.062 0.155 0.114 [16 per cell]
O: 0.148 0.372 0.000 [8 per cell]
O: 0.150 0.406 0.186 [16 per cell]